No. 1
Compound: MgTiNb2Pb4O12
Source: the Materials Project database
Functional: PBE
Structure: optimized geometry

```
data_MgTiNb2Pb4O12
_space_group_name_H-M_alt 'P 1'
_space_group_IT_number 1
_cell_length_a 8.060
_cell_length_b 8.302
_cell_length_c 9.980
_cell_angle_alpha 113.71
_cell_angle_beta 113.75
_cell_angle_gamma 89.85
loop_
_space_group_symop_operation_xyz
'x,y,z'
loop_
_atom_site_label
_atom_site_fract_x
_atom_site_fract_y
_atom_site_fract_z
Mg1 0.389 0.890 0.262
Mg2 0.137 0.138 0.758
Ti1 0.879 0.376 0.252
Ti2 0.631 0.628 0.757
Nb1 0.383 0.392 0.258
Nb2 0.886 0.878 0.257
Nb3 0.130 0.644 0.754
Nb4 0.638 0.128 0.760
Pb1 0.018 0.975 0.998
Pb2 0.000 0.480 0.981
Pb3 0.483 0.976 0.995
Pb4 0.486 0.482 0.981
Pb5 0.738 0.732 0.486
Pb6 0.753 0.222 0.488
Pb7 0.252 0.735 0.490
Pb8 0.241 0.221 0.490
O1 0.273 0.292 0.028
O2 0.265 0.790 0.011
O3 0.408 0.656 0.294
O4 0.403 0.173 0.284
O5 0.654 0.418 0.283
O6 0.649 0.921 0.271
O7 0.892 0.178 0.784
O8 0.892 0.661 0.773
O9 0.774 0.295 0.029
O10 0.769 0.791 0.017
O11 0.020 0.537 0.517
O12 0.896 0.658 0.274
O13 0.013 0.039 0.506
O14 0.150 0.898 0.774
O15 0.894 0.167 0.271
O16 0.151 0.420 0.782
O17 0.146 0.418 0.281
O18 0.137 0.921 0.269
O19 0.408 0.178 0.784
O20 0.400 0.660 0.773
O21 0.527 0.543 0.532
O22 0.646 0.908 0.774
O23 0.523 0.042 0.528
O24 0.651 0.421 0.784
```

Values from the calculation:
energy of formation = -50.36 eV/f.u.
SG = P1 (1)
ρ = 7.7 g/cm³


No. 2
Compound: Pr2MgNb2O8
Source: the Materials Project database
Functional: PBE
Structure: optimized geometry

```
data_Pr2MgNb2O8
_space_group_name_H-M_alt 'P 1'
_space_group_IT_number 1
_cell_length_a 5.508
_cell_length_b 5.719
_cell_length_c 6.664
_cell_angle_alpha 114.41
_cell_angle_beta 102.02
_cell_angle_gamma 100.39
loop_
_space_group_symop_operation_xyz
'x,y,z'
loop_
_atom_site_label
_atom_site_fract_x
_atom_site_fract_y
_atom_site_fract_z
Pr1 0.847 0.116 0.723
Pr2 0.120 0.829 0.225
Mg1 0.416 0.275 0.885
Nb1 0.349 0.594 0.636
Nb2 0.646 0.382 0.354
O1 0.339 0.143 0.113
O2 0.776 0.433 0.091
O3 0.659 0.828 0.870
O4 0.204 0.514 0.893
O5 0.498 0.711 0.408
O6 0.957 0.251 0.427
O7 0.487 0.252 0.584
O8 0.102 0.828 0.597
```

Values from the calculation:
energy of formation = -40.72 eV/f.u.
SG = P1 (1)
ρ = 5.8 g/cm³


No. 3
Compound: Rb3MgNb5O15
Source: the Materials Project database
Functional: PBE
Structure: optimized geometry

```
data_Rb3MgNb5O15
_space_group_name_H-M_alt 'P 1'
_space_group_IT_number 1
_cell_length_a 6.639
_cell_length_b 19.658
_cell_length_c 11.716
_cell_angle_alpha 90.00
_cell_angle_beta 90.00
_cell_angle_gamma 90.00
loop_
_space_group_symop_operation_xyz
'x,y,z'
loop_
_atom_site_label
_atom_site_fract_x
_atom_site_fract_y
_atom_site_fract_z
Rb1 0.704 0.302 0.248
Rb2 0.709 0.308 0.593
Rb3 0.709 0.307 0.910
Rb4 0.209 0.192 0.240
Rb5 0.204 0.198 0.585
Rb6 0.209 0.193 0.924
Rb7 0.291 0.692 0.093
Rb8 0.291 0.693 0.410
Rb9 0.296 0.698 0.748
Rb10 0.796 0.802 0.085
Rb11 0.791 0.807 0.424
Rb12 0.791 0.808 0.740
Mg1 0.195 0.535 0.250
Mg2 0.695 0.965 0.583
Mg3 0.805 0.465 0.750
Mg4 0.305 0.035 0.083
Nb1 0.730 0.615 0.250
Nb2 0.738 0.607 0.585
Nb3 0.738 0.607 0.915
Nb4 0.238 0.893 0.248
Nb5 0.230 0.885 0.583
Nb6 0.238 0.893 0.919
Nb7 0.262 0.393 0.085
Nb8 0.262 0.393 0.415
Nb9 0.270 0.385 0.750
Nb10 0.770 0.115 0.083
Nb11 0.762 0.107 0.419
Nb12 0.762 0.107 0.748
Nb13 0.189 0.529 0.583
Nb14 0.188 0.529 0.917
Nb15 0.689 0.971 0.250
Nb16 0.688 0.971 0.916
Nb17 0.811 0.471 0.083
Nb18 0.812 0.471 0.417
Nb19 0.312 0.029 0.416
Nb20 0.311 0.029 0.750
O1 0.659 0.705 0.249
O2 0.668 0.695 0.583
O3 0.668 0.696 0.918
O4 0.168 0.805 0.250
O5 0.159 0.795 0.584
O6 0.168 0.804 0.916
O7 0.332 0.305 0.083
O8 0.332 0.304 0.418
O9 0.341 0.295 0.749
O10 0.841 0.205 0.084
O11 0.832 0.196 0.416
O12 0.832 0.195 0.750
O13 0.022 0.619 0.250
O14 0.041 0.615 0.586
O15 0.041 0.616 0.914
O16 0.541 0.885 0.247
O17 0.522 0.881 0.584
O18 0.541 0.884 0.919
O19 0.959 0.385 0.086
O20 0.959 0.384 0.414
O21 0.978 0.381 0.750
O22 0.478 0.119 0.084
O23 0.459 0.116 0.419
O24 0.459 0.115 0.747
O25 0.851 0.489 0.250
O26 0.856 0.492 0.579
O27 0.856 0.492 0.921
O28 0.356 0.008 0.254
O29 0.351 0.011 0.583
O30 0.356 0.008 0.913
O31 0.144 0.508 0.079
O32 0.144 0.508 0.421
O33 0.149 0.511 0.750
O34 0.649 0.989 0.083
O35 0.644 0.992 0.413
O36 0.644 0.992 0.754
O37 0.263 0.418 0.250
O38 0.253 0.421 0.579
O39 0.253 0.422 0.921
O40 0.753 0.079 0.254
O41 0.763 0.082 0.583
O42 0.753 0.078 0.913
O43 0.747 0.579 0.079
O44 0.747 0.578 0.421
O45 0.737 0.582 0.750
O46 0.237 0.918 0.083
O47 0.247 0.922 0.413
O48 0.247 0.921 0.754
O49 0.468 0.574 0.250
O50 0.441 0.570 0.583
O51 0.441 0.570 0.917
O52 0.941 0.930 0.250
O53 0.968 0.926 0.584
O54 0.941 0.930 0.916
O55 0.559 0.430 0.083
O56 0.559 0.430 0.417
O57 0.532 0.426 0.750
O58 0.032 0.074 0.084
O59 0.059 0.070 0.416
O60 0.059 0.070 0.750
```

Values from the calculation:
energy of formation = -69.96 eV/f.u.
SG = P2_12_12_1 (19)
ρ = 4.3 g/cm³